[1]
{"formula": "NdMgB5O10", "functional": "PBE", "state": "relaxed", "delta_e_f_mev_per_atom": -3099, "e_tot_ev_per_atom": -7.94, "space_group": "P2_1/c, No. 14", "magmom_total_mub_per_fu": 0.00, "lattice": [[7.687, 0.000, 0.000], [0.000, 8.745, 0.000], [0.000, 8.281, 9.505]], "species": ["O", "O", "O", "Nd", "Mg", "O", "B", "O", "O", "O", "O", "B", "O", "O", "B", "O", "O", "B", "B", "O", "O", "O", "B", "B", "O", "B", "B", "B", "O", "O", "B", "O", "B", "B", "B", "O", "O", "O", "B", "O", "Nd", "O", "B", "O", "Nd", "O", "O", "B", "O", "Mg", "O", "Nd", "O", "O", "O", "B", "Mg", "O", "O", "O", "O", "O", "B", "B", "Mg", "O", "O", "O"], "fractional_positions": [[0.347, 0.568, 0.930], [0.527, 0.766, 0.648], [0.533, 0.685, 0.132], [0.684, 0.052, 0.264], [0.590, 0.520, 0.875], [0.652, 0.448, 0.367], [0.033, 0.725, 0.056], [0.226, 0.030, 0.515], [0.416, 0.682, 0.308], [0.967, 0.685, 0.632], [0.876, 0.676, 0.010], [0.826, 0.909, 0.106], [0.027, 0.234, 0.852], [0.892, 0.090, 0.081], [0.967, 0.275, 0.944], [0.547, 0.877, 0.885], [0.653, 0.432, 0.070], [0.533, 0.275, 0.444], [0.815, 0.482, 0.087], [0.786, 0.797, 0.734], [0.453, 0.123, 0.115], [0.973, 0.766, 0.148], [0.326, 0.091, 0.394], [0.685, 0.482, 0.587], [0.392, 0.910, 0.419], [0.598, 0.843, 0.001], [0.674, 0.909, 0.606], [0.079, 0.347, 0.239], [0.624, 0.676, 0.510], [0.124, 0.324, 0.990], [0.185, 0.518, 0.913], [0.584, 0.318, 0.692], [0.174, 0.091, 0.894], [0.921, 0.653, 0.761], [0.467, 0.725, 0.556], [0.714, 0.797, 0.234], [0.047, 0.123, 0.615], [0.153, 0.568, 0.430], [0.402, 0.157, 0.999], [0.214, 0.203, 0.266], [0.184, 0.948, 0.236], [0.774, 0.970, 0.485], [0.315, 0.518, 0.413], [0.473, 0.234, 0.352], [0.816, 0.052, 0.764], [0.033, 0.315, 0.368], [0.376, 0.324, 0.490], [0.902, 0.843, 0.501], [0.286, 0.203, 0.766], [0.090, 0.480, 0.625], [0.847, 0.432, 0.570], [0.316, 0.948, 0.736], [0.108, 0.910, 0.919], [0.467, 0.315, 0.868], [0.916, 0.318, 0.192], [0.098, 0.157, 0.499], [0.910, 0.520, 0.375], [0.953, 0.877, 0.385], [0.608, 0.090, 0.581], [0.348, 0.552, 0.633], [0.152, 0.552, 0.133], [0.084, 0.682, 0.808], [0.579, 0.653, 0.261], [0.421, 0.347, 0.739], [0.410, 0.480, 0.125], [0.274, 0.030, 0.015], [0.726, 0.970, 0.985], [0.848, 0.448, 0.867]]}

***

[2]
{"formula": "Ce3Br", "functional": "PBE", "state": "relaxed", "delta_e_f_mev_per_atom": -357, "e_tot_ev_per_atom": -5.08, "space_group": "Pm-3m, No. 221", "magmom_total_mub_per_fu": 1.09, "lattice": [[4.575, 0.000, 0.000], [0.000, 4.575, 0.000], [0.000, 0.000, 4.575]], "species": ["Ce", "Br", "Ce", "Ce"], "fractional_positions": [[0.000, 0.500, 0.000], [0.500, 0.500, 0.500], [0.000, 0.000, 0.500], [0.500, 0.000, 0.000]]}

***

[3]
{"formula": "ThNb4O12", "functional": "PBE", "state": "relaxed", "delta_e_f_mev_per_atom": -3196, "e_tot_ev_per_atom": -9.02, "space_group": "I4/mmm, No. 139", "polymorph_energy_mev_per_atom": 46, "magmom_total_mub_per_fu": 0.00, "lattice": [[8.464, 0.489, 2.717], [3.234, -2.408, 7.937], [-5.195, -2.704, -6.705]], "species": ["O", "O", "Nb", "Nb", "O", "O", "Nb", "O", "O", "O", "Th", "O", "O", "O", "Nb", "O", "O"], "fractional_positions": [[0.377, 0.847, 0.000], [0.623, 0.153, 0.000], [0.128, 0.628, 0.500], [0.872, 0.372, 0.500], [0.153, 0.623, 0.000], [0.500, 0.000, 0.500], [0.372, 0.872, 0.500], [0.750, 0.250, 0.500], [0.250, 0.750, 0.500], [0.623, 0.623, 0.470], [0.500, 0.500, 0.000], [0.847, 0.847, 0.470], [0.377, 0.377, 0.530], [0.000, 0.500, 0.500], [0.628, 0.128, 0.500], [0.847, 0.377, 0.000], [0.153, 0.153, 0.530]]}

***

[4]
{"formula": "CsHfMg6", "functional": "PBE", "state": "relaxed", "delta_e_f_mev_per_atom": 429, "e_tot_ev_per_atom": -2.13, "polymorph_energy_mev_per_atom": 74, "magmom_total_mub_per_fu": 0.00, "lattice": [[-2.085, -4.646, 1.628], [-1.971, -1.493, -6.787], [9.865, -5.043, -1.756]], "species": ["Mg", "Mg", "Mg", "Mg", "Mg", "Mg", "Hf", "Hf", "Mg", "Cs", "Mg", "Mg", "Mg", "Mg", "Cs", "Mg"], "fractional_positions": [[0.500, 0.710, 0.909], [0.500, 0.210, 0.409], [0.500, 0.790, 0.409], [0.000, 0.000, 0.323], [0.000, 0.708, 0.097], [0.500, 0.500, 0.646], [0.500, 0.000, 0.649], [0.500, 0.500, 0.149], [0.000, 0.292, 0.097], [0.000, 0.000, 0.871], [0.000, 0.792, 0.597], [0.500, 0.290, 0.909], [0.000, 0.208, 0.597], [0.500, 0.000, 0.146], [0.000, 0.500, 0.371], [0.000, 0.500, 0.823]]}

***

[5]
{"formula": "CaZnC2O6", "functional": "PBE", "state": "relaxed", "delta_e_f_mev_per_atom": -2254, "e_tot_ev_per_atom": -6.98, "space_group": "R-3, No. 148", "magmom_total_mub_per_fu": 0.00, "lattice": [[-3.129, 4.631, -2.509], [0.185, 2.694, -5.499], [-3.987, 0.341, -4.639]], "species": ["O", "O", "Ca", "O", "O", "O", "Zn", "O", "C", "C"], "fractional_positions": [[0.726, 0.505, 0.036], [0.964, 0.274, 0.495], [0.000, 0.000, 0.000], [0.274, 0.495, 0.964], [0.036, 0.726, 0.505], [0.495, 0.964, 0.274], [0.500, 0.500, 0.500], [0.505, 0.036, 0.726], [0.757, 0.757, 0.757], [0.243, 0.243, 0.243]]}

***

[6]
{"formula": "Ba4Bi3PbO12", "functional": "PBE", "state": "relaxed", "delta_e_f_mev_per_atom": -2203, "e_tot_ev_per_atom": -5.91, "space_group": "C2/m, No. 12", "magmom_total_mub_per_fu": 0.00, "lattice": [[3.114, 5.390, 0.000], [-3.114, 5.390, 0.000], [0.000, 3.518, 10.183]], "species": ["O", "Ba", "Ba", "Ba", "Bi", "O", "O", "O", "O", "O", "O", "Bi", "O", "O", "O", "Bi", "Ba", "Pb", "O", "O"], "fractional_positions": [[0.393, 0.892, 0.890], [0.871, 0.871, 0.380], [0.373, 0.373, 0.876], [0.129, 0.129, 0.620], [0.000, 0.000, 0.000], [0.607, 0.108, 0.608], [0.094, 0.094, 0.158], [0.607, 0.108, 0.110], [0.406, 0.406, 0.344], [0.393, 0.892, 0.392], [0.892, 0.393, 0.392], [0.751, 0.751, 0.749], [0.108, 0.607, 0.608], [0.892, 0.393, 0.890], [0.906, 0.906, 0.842], [0.249, 0.249, 0.251], [0.627, 0.627, 0.124], [0.500, 0.500, 0.500], [0.594, 0.594, 0.656], [0.108, 0.607, 0.110]]}

***

[7]
{"formula": "Sr3LiIrO6", "functional": "PBE", "state": "relaxed", "delta_e_f_mev_per_atom": -2512, "e_tot_ev_per_atom": -6.27, "space_group": "R-3c, No. 167", "magmom_total_mub_per_fu": 2.00, "lattice": [[2.814, 5.826, -1.935], [-2.865, 2.876, 5.397], [5.477, -1.773, 3.529]], "species": ["O", "O", "O", "O", "O", "Sr", "Sr", "Ir", "O", "Sr", "O", "O", "O", "Sr", "Sr", "Li", "O", "Ir", "Li", "O", "O", "Sr"], "fractional_positions": [[0.547, 0.219, 0.416], [0.084, 0.281, 0.953], [0.719, 0.047, 0.916], [0.047, 0.916, 0.719], [0.453, 0.781, 0.584], [0.250, 0.608, 0.892], [0.750, 0.392, 0.108], [0.000, 0.000, 0.000], [0.584, 0.453, 0.781], [0.608, 0.892, 0.250], [0.219, 0.416, 0.547], [0.416, 0.547, 0.219], [0.916, 0.719, 0.047], [0.392, 0.108, 0.750], [0.108, 0.750, 0.392], [0.750, 0.750, 0.750], [0.953, 0.084, 0.281], [0.500, 0.500, 0.500], [0.250, 0.250, 0.250], [0.281, 0.953, 0.084], [0.781, 0.584, 0.453], [0.892, 0.250, 0.608]]}

***

[8]
{"formula": "CsCu3As8H24C8I4O8", "functional": "PBE", "state": "relaxed", "delta_e_f_mev_per_atom": -531, "e_tot_ev_per_atom": -4.92, "space_group": "P-1, No. 2", "magmom_total_mub_per_fu": 0.01, "lattice": [[8.388, 0.000, 0.000], [-0.892, 8.535, 0.000], [-1.080, -2.306, 25.698]], "species": ["C", "O", "Cs", "I", "H", "H", "H", "H", "Cu", "H", "I", "C", "O", "O", "As", "C", "I", "As", "H", "H", "H", "As", "H", "As", "C", "H", "C", "H", "H", "As", "As", "C", "H", "Cu", "H", "O", "H", "I", "O", "As", "C", "I", "H", "C", "H", "As", "H", "H", "As", "O", "H", "C", "H", "H", "H", "C", "As", "H", "O", "H", "Cu", "As", "H", "Cu", "H", "C", "H", "O", "C", "Cu", "H", "O", "H", "O", "O", "C", "I", "Cu", "H", "H", "As", "O", "Cs", "H", "O", "H", "C", "H", "C", "As", "H", "H", "H", "As", "H", "H", "I", "O", "As", "H", "H", "O", "I", "H", "H", "H", "H", "H", "O", "C", "As", "H"], "fractional_positions": [[0.205, 0.915, 0.625], [0.060, 0.233, 0.485], [0.577, 0.142, 0.235], [0.446, 0.401, 0.357], [0.193, 0.525, 0.899], [0.228, 0.055, 0.972], [0.943, 0.168, 0.847], [0.751, 0.796, 0.073], [0.708, 0.445, 0.709], [0.360, 0.804, 0.035], [0.557, 0.418, 0.794], [0.168, 0.624, 0.463], [0.073, 0.959, 0.724], [0.103, 0.557, 0.777], [0.955, 0.197, 0.545], [0.206, 0.639, 0.882], [0.554, 0.599, 0.643], [0.037, 0.261, 0.991], [0.078, 0.768, 0.216], [0.307, 0.851, 0.635], [0.642, 0.668, 0.462], [0.234, 0.141, 0.463], [0.205, 0.732, 0.914], [0.770, 0.454, 0.937], [0.596, 0.311, 0.961], [0.118, 0.248, 0.713], [0.836, 0.873, 0.053], [0.115, 0.186, 0.807], [0.057, 0.832, 0.153], [0.020, 0.651, 0.835], [0.071, 0.061, 0.222], [0.795, 0.085, 0.375], [0.825, 0.397, 0.496], [0.250, 0.154, 0.372], [0.082, 0.053, 0.919], [0.897, 0.443, 0.223], [0.413, 0.137, 0.544], [0.443, 0.582, 0.206], [0.094, 0.658, 0.678], [0.929, 0.939, 0.778], [0.602, 0.773, 0.482], [0.676, 0.874, 0.895], [0.287, 0.654, 0.448], [0.134, 0.348, 0.690], [0.504, 0.701, 0.067], [0.963, 0.739, 0.009], [0.807, 0.475, 0.101], [0.828, 0.108, 0.417], [0.766, 0.859, 0.537], [0.906, 0.342, 0.322], [0.258, 0.405, 0.694], [0.015, 0.844, 0.192], [0.319, 0.654, 0.862], [0.922, 0.232, 0.784], [0.510, 0.258, 0.499], [0.794, 0.361, 0.118], [0.993, 0.503, 0.714], [0.681, 0.346, 0.138], [0.927, 0.041, 0.276], [0.107, 0.521, 0.439], [0.248, 0.403, 0.138], [0.230, 0.546, 0.063], [0.918, 0.947, 0.081], [0.750, 0.846, 0.628], [0.587, 0.863, 0.456], [0.164, 0.127, 0.947], [0.772, 0.945, 0.028], [0.936, 0.333, 0.935], [0.832, 0.376, 0.537], [0.752, 0.597, 0.862], [0.100, 0.310, 0.649], [0.194, 0.430, 0.000], [0.358, 0.332, 0.538], [0.798, 0.051, 0.512], [0.064, 0.667, 0.065], [0.404, 0.689, 0.039], [0.324, 0.126, 0.105], [0.292, 0.555, 0.291], [0.439, 0.638, 0.001], [0.175, 0.603, 0.504], [0.982, 0.158, 0.337], [0.940, 0.767, 0.515], [0.423, 0.858, 0.765], [0.640, 0.196, 0.965], [0.806, 0.570, 0.000], [0.893, 0.479, 0.561], [0.398, 0.227, 0.518], [0.490, 0.742, 0.501], [0.985, 0.156, 0.808], [0.980, 0.349, 0.165], [0.561, 0.362, 0.999], [0.882, 0.752, 0.287], [0.172, 0.892, 0.583], [0.045, 0.803, 0.455], [0.765, 0.958, 0.365], [0.713, 0.346, 0.552], [0.334, 0.876, 0.335], [0.202, 0.949, 0.488], [0.007, 0.497, 0.286], [0.900, 0.690, 0.351], [0.885, 0.814, 0.193], [0.928, 0.144, 0.178], [0.666, 0.124, 0.665], [0.795, 0.268, 0.086], [0.235, 0.042, 0.635], [0.496, 0.299, 0.933], [0.693, 0.149, 0.365], [0.249, 0.204, 0.927], [0.072, 0.856, 0.822], [0.866, 0.652, 0.310], [0.018, 0.842, 0.663], [0.742, 0.595, 0.306]]}